Crystalline MgAg4Te8Mo2O24 at its relaxed geometry, computed with GGA+U.

Cell lengths 5.862, 9.092, 12.231 Å; angles 103.38, 90.72, 107.69 degrees
Fractional positions:
Mg 0.000 0.000 0.000
Ag 0.038 0.947 0.748
Ag 0.385 0.948 0.408
Ag 0.433 0.801 0.973
Ag 0.850 0.809 0.443
Te 0.112 0.216 0.604
Te 0.251 0.680 0.600
Te 0.319 0.542 0.297
Te 0.519 0.209 0.101
Te 0.606 0.068 0.784
Te 0.770 0.585 0.802
Te 0.905 0.076 0.267
Te 0.948 0.705 0.139
Mo 0.088 0.378 0.960
Mo 0.748 0.388 0.445
O 0.002 0.374 0.566
O 0.044 0.399 0.339
O 0.074 0.079 0.461
O 0.079 0.692 0.757
O 0.105 0.709 0.279
O 0.124 0.915 0.128
O 0.179 0.608 0.053
O 0.236 0.293 0.074
O 0.288 0.901 0.616
O 0.316 0.398 0.868
O 0.385 0.053 0.957
O 0.411 0.692 0.445
O 0.523 0.359 0.540
O 0.558 0.434 0.328
O 0.600 0.857 0.769
O 0.663 0.155 0.348
O 0.736 0.861 0.265
O 0.763 0.061 0.114
O 0.771 0.358 0.052
O 0.799 0.092 0.648
O 0.817 0.746 0.939
O 0.854 0.419 0.845
O 0.906 0.132 0.888
O 0.934 0.622 0.517

## Properties
Its space-group type is P1. The final energy comes out at -5.44 eV per atom. As for the formation enthalpy at 0 K: -1453.0 meV/atom. The energy above the most stable polymorph in this dataset is 0.22 eV per formula unit.